First-principles (PBE) data for Tm2PbS4 after structural relaxation, as listed in Materials Project.

Cell and atoms, written as POSCAR:
```
Tm2PbS4
1.0
10.260 0.000 0.000
0.000 13.377 0.000
-4.584 0.000 10.786
Tm Pb S
16 8 32
direct
0.036 0.000 0.157
0.074 0.177 0.457
0.178 0.899 0.484
0.192 0.092 0.860
0.210 0.534 0.403
0.313 0.642 0.117
0.320 0.508 0.822
0.447 0.201 0.419
0.553 0.701 0.581
0.680 0.008 0.178
0.687 0.142 0.883
0.790 0.034 0.597
0.808 0.592 0.140
0.822 0.399 0.516
0.926 0.677 0.543
0.964 0.500 0.843
0.068 0.337 0.166
0.107 0.304 0.712
0.448 0.893 0.337
0.498 0.329 0.075
0.502 0.829 0.925
0.552 0.393 0.663
0.893 0.804 0.288
0.932 0.837 0.834
0.070 0.024 0.612
0.078 0.561 0.164
0.109 0.649 0.765
0.133 0.165 0.050
0.151 0.826 0.261
0.232 0.460 0.003
0.233 0.817 0.978
0.237 0.063 0.384
0.239 0.333 0.442
0.242 0.959 0.062
0.317 0.234 0.176
0.375 0.575 0.631
0.420 0.630 0.356
0.422 0.854 0.630
0.423 0.326 0.811
0.485 0.100 0.976
0.515 0.600 0.024
0.577 0.826 0.189
0.578 0.354 0.370
0.580 0.130 0.644
0.625 0.075 0.369
0.683 0.734 0.824
0.758 0.459 0.938
0.761 0.833 0.558
0.763 0.563 0.616
0.767 0.317 0.022
0.768 0.960 0.997
0.849 0.326 0.739
0.867 0.665 0.950
0.891 0.149 0.235
0.922 0.061 0.836
0.930 0.524 0.388
```

Values from the calculation:
E_form in eV/atom: -1.53
Total moment in Bohr magnetons per cell: 0.000
E above lowest polymorph in eV/atom: 0.393
Total energy after the MP2020 corrections in eV/cell: -319.18
Space-group type: P2_1 (4)